Density functional theory data (GGA-PBE) for crystalline BaMg30SnO32 at its relaxed geometry.

SG: P4/mmm, No. 123
ΔH_f (0 K): -2.877 eV per atom

abc: 8.7319 8.7319 8.7220
angles: 90.00 90.00 90.00
With the nearest neighbours (Å) after each atom.
Element x y z (fractional)
O1 0.7497 0.7497 0.2491  6 Mg 2.17-2.19
O2 0.7497 0.2503 0.2491  6 Mg 2.17-2.19
O3 0.7480 0.0000 0.5000  6 Mg 2.14-2.20
O4 0.0000 0.0000 0.7297  5 Mg 2.00-2.22
O5 0.7497 0.2503 0.7509  6 Mg 2.17-2.19
O6 0.0000 0.2520 0.5000  6 Mg 2.14-2.20
O7 0.7549 0.5000 0.5000  6 Mg 2.12-2.23
O8 0.7772 0.5000 0.0000  1 Mg 1.95
O9 0.5000 0.5000 0.2790  1 Mg 1.93
O10 0.2520 0.0000 0.5000  6 Mg 2.14-2.20
O11 0.2228 0.5000 0.0000  1 Mg 1.95
O12 0.0000 0.5000 0.2583  6 Mg 2.11-2.25
O13 0.5000 0.0000 0.7417  6 Mg 2.11-2.25
O14 0.2503 0.2503 0.2491  6 Mg 2.17-2.19
O15 0.2503 0.7497 0.7509  6 Mg 2.17-2.19
O16 0.5000 0.7772 0.0000  1 Mg 1.95
O17 0.5000 0.2228 0.0000  1 Mg 1.95
O18 0.0000 0.5000 0.7417  6 Mg 2.11-2.25
O19 0.0000 0.7480 0.5000  6 Mg 2.14-2.20
O20 0.2503 0.7497 0.2491  6 Mg 2.17-2.19
O21 0.5000 0.5000 0.7210  1 Mg 1.93
O22 0.2503 0.2503 0.7509  6 Mg 2.17-2.19
O23 0.7340 0.0000 0.0000  5 Mg 2.04-2.22
O24 0.2451 0.5000 0.5000  6 Mg 2.12-2.23
O25 0.5000 0.7549 0.5000  6 Mg 2.12-2.23
O26 0.0000 0.2660 0.0000  5 Mg 2.04-2.22
O27 0.7497 0.7497 0.7509  6 Mg 2.17-2.19
O28 0.5000 0.2451 0.5000  6 Mg 2.12-2.23
O29 0.0000 0.7340 0.0000  5 Mg 2.04-2.22
O30 0.2660 0.0000 0.0000  5 Mg 2.04-2.22
O31 0.5000 0.0000 0.2583  6 Mg 2.11-2.25
O32 0.0000 0.0000 0.2703  5 Mg 2.00-2.22
Mg1 0.7530 0.2470 0.0000  6 O 2.16-2.22
Mg2 0.7502 0.7502 0.5000  6 O 2.18-2.19
Mg3 0.5000 0.7572 0.7425  6 O 2.12-2.25
Mg4 0.5000 0.0000 0.5000  6 O 2.11-2.17
Mg5 0.5000 0.5000 0.5000  2 O 1.93
Mg6 0.2470 0.2470 0.0000  6 O 2.16-2.22
Mg7 0.0000 0.5000 0.0000  4 O 1.95-2.04
Mg8 0.0000 0.7460 0.7452  6 O 2.14-2.22
Mg9 0.0000 0.5000 0.5000  6 O 2.11-2.17
Mg10 0.0000 0.7460 0.2548  6 O 2.14-2.22
Mg11 0.5000 0.2428 0.7425  6 O 2.12-2.25
Mg12 0.0000 0.0000 0.5000  6 O 2.00-2.20
Mg13 0.5000 0.7572 0.2575  6 O 2.12-2.25
Mg14 0.5000 0.0000 0.0000  4 O 1.95-2.04
Mg15 0.2428 0.5000 0.2575  6 O 2.12-2.25
Mg16 0.2470 0.7530 0.0000  6 O 2.16-2.22
Mg17 0.2498 0.2498 0.5000  6 O 2.18-2.19
Mg18 0.7460 0.0000 0.7452  6 O 2.14-2.22
Mg19 0.0000 0.2540 0.7452  6 O 2.14-2.22
Mg20 0.7530 0.7530 0.0000  6 O 2.16-2.22
Mg21 0.7460 0.0000 0.2548  6 O 2.14-2.22
Mg22 0.2540 0.0000 0.2548  6 O 2.14-2.22
Mg23 0.2498 0.7502 0.5000  6 O 2.18-2.19
Mg24 0.2540 0.0000 0.7452  6 O 2.14-2.22
Mg25 0.7572 0.5000 0.2575  6 O 2.12-2.25
Mg26 0.7572 0.5000 0.7425  6 O 2.12-2.25
Mg27 0.5000 0.2428 0.2575  6 O 2.12-2.25
Mg28 0.0000 0.2540 0.2548  6 O 2.14-2.22
Mg29 0.2428 0.5000 0.7425  6 O 2.12-2.25
Mg30 0.7502 0.2498 0.5000  6 O 2.18-2.19
Ba1 0.5000 0.5000 0.0000  6 O 2.42-2.43
Sn1 0.0000 0.0000 0.0000  6 O 2.32-2.36

Density functional theory data (GGA-PBE) for crystalline K2RuBr6 at its relaxed geometry.

SG: Pnma, No. 62
ΔH_f (0 K): -1.295 eV per atom

abc: 7.4501 10.6814 14.9364
angles: 90.00 90.00 90.00
With the nearest neighbours (Å) after each atom.
Element x y z (fractional)
Ru1 0.6913 0.7500 0.6185  6 Br 2.43-2.54
Ru2 0.8087 0.7500 0.1185  6 Br 2.43-2.54
Ru3 0.3087 0.2500 0.3815  6 Br 2.43-2.54
Ru4 0.1913 0.2500 0.8815  6 Br 2.43-2.54
Br1 0.9595 0.7500 0.5141  1 Ru 2.53
Br2 0.9005 0.7500 0.7526  1 Ru 2.54
Br3 0.4595 0.2500 0.9859  1 Ru 2.53
Br4 0.4005 0.2500 0.7474  1 Ru 2.54
Br5 0.3008 0.0155 0.3780  1 Ru 2.51
Br6 0.8008 0.9845 0.1220  1 Ru 2.51
Br7 0.0719 0.7500 0.2253  1 Ru 2.53
Br8 0.0142 0.7500 0.9920  1 Ru 2.43
Br9 0.5995 0.7500 0.2526  1 Ru 2.54
Br10 0.9281 0.2500 0.7747  1 Ru 2.53
Br11 0.1992 0.4845 0.8780  1 Ru 2.51
Br12 0.5142 0.2500 0.5080  1 Ru 2.43
Br13 0.0405 0.2500 0.4859  1 Ru 2.53
Br14 0.1992 0.0155 0.8780  1 Ru 2.51
Br15 0.9858 0.2500 0.0080  1 Ru 2.43
Br16 0.5719 0.2500 0.2747  1 Ru 2.53
Br17 0.4858 0.7500 0.4920  1 Ru 2.43
Br18 0.4281 0.7500 0.7253  1 Ru 2.53
Br19 0.5405 0.7500 0.0141  1 Ru 2.53
Br20 0.6992 0.9845 0.6220  1 Ru 2.51
Br21 0.0995 0.2500 0.2474  1 Ru 2.54
Br22 0.6992 0.5155 0.6220  1 Ru 2.51
Br23 0.3008 0.4845 0.3780  1 Ru 2.51
Br24 0.8008 0.5155 0.1220  1 Ru 2.51
K1 0.6592 0.0005 0.8553  8 Br 3.45-3.73
K2 0.8408 0.0005 0.3553  8 Br 3.45-3.73
K3 0.3408 0.5005 0.1447  8 Br 3.45-3.73
K4 0.6592 0.4995 0.8553  8 Br 3.45-3.73
K5 0.1592 0.9995 0.6447  8 Br 3.45-3.73
K6 0.1592 0.5005 0.6447  8 Br 3.45-3.73
K7 0.8408 0.4995 0.3553  8 Br 3.45-3.73
K8 0.3408 0.9995 0.1447  8 Br 3.45-3.73